[1]
A relaxed Sr5Fe4MoO15 crystal, computed with PBE with a Hubbard U.

## Properties
- DFT formation energy (eV/atom) = -2.389
- VASP energy (eV for the cell shown) = -164.59
- E above lowest polymorph (meV per atom) = 0

Lattice parameters (Å, degrees): 5.5916 6.8541 8.8530 75.05 71.62 89.93
With the nearest neighbours (Å) after each atom.
Space group P-1 (No. 2)
One atom of each set of equivalent atoms:
Sr1 0.0000 0.0000 0.0000 x1  12 O 2.78-2.83
Sr2 0.2048 0.8091 0.5903 x2  12 O 2.74-2.89
Sr3 0.3931 0.6034 0.2131 x2  12 O 2.71-2.89
Fe1 0.2027 0.2991 0.5946 x2  6 O 1.96-2.07
Fe2 0.3990 0.0920 0.2016 x2  6 O 1.95-2.06
Mo1 0.0000 0.5000 0.0000 x1  6 O 1.93-1.94
O1 0.0000 0.5000 0.5000 x1  2 Fe 1.97
O2 0.0960 0.8962 0.3002 x2  2 Fe 1.96-1.98
O3 0.0995 0.4062 0.8026 x2  1 Mo 1.93, 1 Fe 2.07
O4 0.1978 0.3034 0.0952 x2  1 Mo 1.94, 1 Fe 2.05
O5 0.2918 0.6964 0.9056 x2  1 Mo 1.93, 1 Fe 2.06
O6 0.3041 0.1998 0.3935 x2  2 Fe 1.95-1.98
O7 0.3974 0.1031 0.6997 x2  2 Fe 1.96-1.97
O8 0.5000 0.0000 0.0000 x1  2 Fe 1.96
O9 0.5000 0.5000 0.5000 x1  2 Fe 1.97

=====

[2]
A relaxed VO2F crystal, computed with PBE with a Hubbard U.

## Properties
- DFT formation energy (eV/atom) = -2.427
- VASP energy (eV for the cell shown) = -108.26
- maximum piezoelectric response (C/m2) = 5.84

Lattice parameters (Å, degrees): 5.0634 5.1134 8.4254 90.00 90.00 90.00
With the nearest neighbours (Å) after each atom.
Space group P2_12_12_1 (No. 19)
One atom of each set of equivalent atoms:
V1 0.1305 0.1222 0.1310 x4  3 O 1.66-1.84, 1 F 1.79
O1 0.0432 0.6602 0.5348 x4  1 V 1.66
O2 0.0798 0.3969 0.2550 x4  2 V 1.77-1.84
F1 0.1205 0.1254 0.6150 x4  1 V 1.79

=====

no.,volume (Å³/cell)
1,309.9
2,218.1